Entry one
Compound: CaAl2Si6O20
Source: the Materials Project
Functional: PBE
Structure: optimized geometry

Structure (CIF):
```
data_CaAl2Si6O20
_chemical_formula_sum 'Ca2 Al4 Si12 O40'
_space_group_name_H-M_alt 'P 1 c 1'
_space_group_IT_number 7
_cell_length_a 6.896
_cell_length_b 14.142
_cell_length_c 10.136
_cell_angle_alpha 90.00
_cell_angle_beta 111.56
_cell_angle_gamma 90.00
loop_
_space_group_symop_operation_xyz
'x,y,z'
'x,-y,z+1/2'
loop_
_atom_site_label
_atom_site_fract_x
_atom_site_fract_y
_atom_site_fract_z
_atom_site_occupancy
Ca1 0.000 0.213 0.000 1
Al1 0.334 0.357 0.233 1
Al2 0.954 0.005 0.593 1
Si1 0.293 0.154 0.574 1
Si2 0.302 0.373 0.546 1
Si3 0.362 0.127 0.283 1
Si4 0.661 0.042 0.786 1
Si5 0.680 0.494 0.707 1
Si6 0.971 0.471 0.028 1
O1 0.082 0.096 0.549 1
O2 0.097 0.370 0.080 1
O3 0.135 0.086 0.179 1
O4 0.137 0.443 0.580 1
O5 0.253 0.266 0.586 1
O6 0.279 0.380 0.383 1
O7 0.310 0.150 0.997 1
O8 0.361 0.232 0.216 1
O9 0.380 0.133 0.447 1
O10 0.478 0.122 0.725 1
O11 0.538 0.398 0.654 1
O12 0.543 0.418 0.220 1
O13 0.557 0.063 0.278 1
O14 0.641 0.282 0.011 1
O15 0.725 0.257 0.136 1
O16 0.792 0.482 0.094 1
O17 0.800 0.068 0.950 1
O18 0.812 0.043 0.695 1
O19 0.849 0.206 0.734 1
O20 0.864 0.465 0.856 1
```

Entry two
Compound: CaAl2Si6O20
Source: the Materials Project
Functional: PBE
Structure: optimized geometry

Structure (CIF):
```
data_CaAl2Si6O20
_chemical_formula_sum 'Ca2 Al4 Si12 O40'
_space_group_name_H-M_alt 'P 1 c 1'
_space_group_IT_number 7
_cell_length_a 6.875
_cell_length_b 14.141
_cell_length_c 10.135
_cell_angle_alpha 90.00
_cell_angle_beta 111.19
_cell_angle_gamma 90.00
loop_
_space_group_symop_operation_xyz
'x,y,z'
'x,-y,z+1/2'
loop_
_atom_site_label
_atom_site_fract_x
_atom_site_fract_y
_atom_site_fract_z
_atom_site_occupancy
Ca1 0.000 0.216 0.000 1
Al1 0.349 0.356 0.224 1
Al2 0.954 0.008 0.574 1
Si1 0.297 0.150 0.557 1
Si2 0.313 0.373 0.535 1
Si3 0.363 0.125 0.266 1
Si4 0.664 0.038 0.766 1
Si5 0.694 0.500 0.195 1
Si6 0.979 0.475 0.012 1
O1 0.073 0.102 0.526 1
O2 0.117 0.380 0.073 1
O3 0.125 0.432 0.562 1
O4 0.143 0.079 0.162 1
O5 0.285 0.264 0.572 1
O6 0.293 0.154 0.942 1
O7 0.309 0.387 0.377 1
O8 0.349 0.232 0.202 1
O9 0.383 0.124 0.431 1
O10 0.468 0.112 0.707 1
O11 0.534 0.410 0.652 1
O12 0.566 0.069 0.257 1
O13 0.574 0.405 0.212 1
O14 0.650 0.285 0.914 1
O15 0.789 0.483 0.071 1
O16 0.804 0.065 0.929 1
O17 0.809 0.044 0.672 1
O18 0.854 0.236 0.189 1
O19 0.883 0.469 0.840 1
O20 0.932 0.249 0.751 1
```

Quick one: most stable of them? entry two

Entry one
Compound: CaAl2Si2O8
Source: the Materials Project
Functional: PBE
Structure: optimized geometry

Structure (CIF):
```
data_CaAl2Si2O8
_chemical_formula_sum 'Ca8 Al16 Si16 O64'
_space_group_name_H-M_alt 'P -1'
_space_group_IT_number 2
_cell_length_a 8.266
_cell_length_b 13.035
_cell_length_c 13.060
_cell_angle_alpha 85.58
_cell_angle_beta 81.28
_cell_angle_gamma 89.15
loop_
_space_group_symop_operation_xyz
'x,y,z'
'-x,-y,-z'
loop_
_atom_site_label
_atom_site_fract_x
_atom_site_fract_y
_atom_site_fract_z
_atom_site_occupancy
Ca1 0.176 0.020 0.089 1
Ca2 0.235 0.460 0.540 1
Ca3 0.268 0.038 0.459 1
Ca4 0.316 0.500 0.921 1
Al1 0.005 0.622 0.183 1
Al2 0.007 0.128 0.673 1
Al3 0.111 0.314 0.379 1
Al4 0.127 0.815 0.882 1
Al5 0.387 0.334 0.112 1
Al6 0.398 0.840 0.611 1
Al7 0.465 0.113 0.849 1
Al8 0.476 0.609 0.332 1
Si1 0.020 0.897 0.664 1
Si2 0.023 0.393 0.148 1
Si3 0.092 0.159 0.896 1
Si4 0.097 0.656 0.396 1
Si5 0.392 0.186 0.614 1
Si6 0.396 0.678 0.110 1
Si7 0.486 0.116 0.188 1
Si8 0.496 0.378 0.327 1
O1 0.002 0.375 0.486 1
O2 0.004 0.104 0.809 1
O3 0.007 0.875 0.790 1
O4 0.024 0.394 0.678 1
O5 0.031 0.876 0.995 1
O6 0.045 0.363 0.267 1
O7 0.063 0.990 0.364 1
O8 0.066 0.492 0.862 1
O9 0.090 0.179 0.391 1
O10 0.103 0.682 0.896 1
O11 0.118 0.280 0.864 1
O12 0.127 0.777 0.364 1
O13 0.205 0.149 0.605 1
O14 0.208 0.397 0.078 1
O15 0.209 0.641 0.137 1
O16 0.211 0.905 0.606 1
O17 0.263 0.101 0.919 1
O18 0.272 0.595 0.395 1
O19 0.311 0.355 0.391 1
O20 0.326 0.855 0.853 1
O21 0.359 0.203 0.148 1
O22 0.374 0.710 0.646 1
O23 0.407 0.312 0.603 1
O24 0.416 0.802 0.097 1
O25 0.431 0.008 0.144 1
O26 0.439 0.513 0.634 1
O27 0.453 0.143 0.720 1
O28 0.464 0.102 0.317 1
O29 0.477 0.623 0.002 1
O30 0.489 0.395 0.202 1
O31 0.492 0.374 0.804 1
O32 0.498 0.127 0.516 1
```

Entry two
Compound: CaAl2Si2O8
Source: the Materials Project
Functional: PBE
Structure: optimized geometry

Structure (CIF):
```
data_CaAl2Si2O8
_chemical_formula_sum 'Ca2 Al4 Si4 O16'
_space_group_name_H-M_alt 'P -1'
_space_group_IT_number 2
_cell_length_a 7.185
_cell_length_b 7.654
_cell_length_c 7.779
_cell_angle_alpha 114.35
_cell_angle_beta 107.27
_cell_angle_gamma 100.14
loop_
_space_group_symop_operation_xyz
'x,y,z'
'-x,-y,-z'
loop_
_atom_site_label
_atom_site_fract_x
_atom_site_fract_y
_atom_site_fract_z
_atom_site_occupancy
Ca1 0.110 0.257 0.296 1
Al1 0.213 0.845 0.174 1
Al2 0.315 0.572 0.803 1
Si1 0.234 0.176 0.814 1
Si2 0.362 0.795 0.562 1
O1 0.023 0.102 0.847 1
O2 0.170 0.705 0.915 1
O3 0.213 0.303 0.688 1
O4 0.254 0.954 0.676 1
O5 0.276 0.586 0.570 1
O6 0.285 0.728 0.319 1
O7 0.384 0.105 0.312 1
O8 0.421 0.313 0.040 1
```

Quick one: most stable of them? entry one

Entry one
Compound: CaAl2Si3O10
Source: the Materials Project
Functional: PBE
Structure: optimized geometry

Structure (CIF):
```
data_CaAl2Si3O10
_chemical_formula_sum 'Ca2 Al4 Si6 O20'
_space_group_name_H-M_alt 'P 1'
_space_group_IT_number 1
_cell_length_a 7.969
_cell_length_b 9.726
_cell_length_c 9.748
_cell_angle_alpha 83.39
_cell_angle_beta 77.55
_cell_angle_gamma 77.92
loop_
_space_group_symop_operation_xyz
'x,y,z'
loop_
_atom_site_label
_atom_site_fract_x
_atom_site_fract_y
_atom_site_fract_z
_atom_site_occupancy
Ca1 0.000 0.000 0.000 1
Ca2 0.497 0.015 0.998 1
Al1 0.169 0.514 0.809 1
Al2 0.291 0.942 0.692 1
Al3 0.685 0.822 0.506 1
Al4 0.775 0.675 0.939 1
Si1 0.187 0.246 0.972 1
Si2 0.253 0.233 0.722 1
Si3 0.444 0.723 0.804 1
Si4 0.695 0.979 0.236 1
Si5 0.747 0.729 0.228 1
Si6 0.925 0.819 0.736 1
O1 0.080 0.198 0.853 1
O2 0.080 0.906 0.719 1
O3 0.134 0.415 0.976 1
O4 0.195 0.121 0.092 1
O5 0.214 0.397 0.672 1
O6 0.311 0.109 0.617 1
O7 0.318 0.619 0.795 1
O8 0.338 0.879 0.870 1
O9 0.381 0.211 0.848 1
O10 0.484 0.806 0.636 1
O11 0.575 0.862 0.199 1
O12 0.605 0.644 0.872 1
O13 0.654 0.987 0.404 1
O14 0.704 0.098 0.109 1
O15 0.724 0.683 0.393 1
O16 0.780 0.864 0.885 1
O17 0.787 0.617 0.111 1
O18 0.845 0.823 0.600 1
O19 0.883 0.850 0.192 1
O20 0.972 0.646 0.803 1
```

Entry two
Compound: CaAl2Si3O10
Source: the Materials Project
Functional: PBE
Structure: optimized geometry

Structure (CIF):
```
data_CaAl2Si3O10
_chemical_formula_sum 'Ca2 Al4 Si6 O20'
_space_group_name_H-M_alt 'P 1'
_space_group_IT_number 1
_cell_length_a 8.059
_cell_length_b 9.683
_cell_length_c 9.763
_cell_angle_alpha 104.13
_cell_angle_beta 100.19
_cell_angle_gamma 98.74
loop_
_space_group_symop_operation_xyz
'x,y,z'
loop_
_atom_site_label
_atom_site_fract_x
_atom_site_fract_y
_atom_site_fract_z
_atom_site_occupancy
Ca1 0.000 0.000 0.000 1
Ca2 0.497 0.903 0.086 1
Al1 0.160 0.443 0.260 1
Al2 0.258 0.030 0.352 1
Al3 0.668 0.166 0.535 1
Al4 0.751 0.260 0.126 1
Si1 0.272 0.742 0.341 1
Si2 0.322 0.623 0.111 1
Si3 0.414 0.225 0.263 1
Si4 0.769 0.242 0.836 1
Si5 0.828 0.013 0.718 1
Si6 0.917 0.171 0.320 1
O1 0.066 0.087 0.357 1
O2 0.153 0.611 0.375 1
O3 0.202 0.756 0.167 1
O4 0.203 0.465 0.092 1
O5 0.285 0.058 0.167 1
O6 0.296 0.904 0.445 1
O7 0.308 0.344 0.316 1
O8 0.429 0.673 0.003 1
O9 0.442 0.681 0.288 1
O10 0.468 0.158 0.408 1
O11 0.558 0.263 0.178 1
O12 0.658 0.281 0.702 1
O13 0.698 0.065 0.842 1
O14 0.718 0.999 0.557 1
O15 0.783 0.345 0.996 1
O16 0.785 0.075 0.154 1
O17 0.813 0.225 0.439 1
O18 0.935 0.904 0.771 1
O19 0.946 0.190 0.788 1
O20 0.963 0.317 0.253 1
```

Quick one: most stable of them? entry one